(1)
A relaxed LaNiO3 crystal. Source: Materials Project, functional PBE with a Hubbard U.

Unit cell a=3.8570 b=3.8570 c=3.8570 alpha=90.00 beta=90.00 gamma=90.00
With the nearest neighbours (Å) after each atom.
Sites, in units of the cell vectors:
La: 0.5000 0.5000 0.5000  12 O 2.73
Ni: 0.0000 0.0000 0.0000  6 O 1.93
O: 0.5000 0.0000 0.0000  2 Ni 1.93
O: 0.0000 0.5000 0.0000  2 Ni 1.93
O: 0.0000 0.0000 0.5000  2 Ni 1.93

Output
* symmetry: Pm-3m



(2)
A relaxed Na5NiCO5 crystal. Source: Materials Project, functional PBE with a Hubbard U.

Unit cell a=6.6205 b=6.6201 c=17.6028 alpha=80.12 beta=80.12 gamma=95.08
With the nearest neighbours (Å) after each atom.
Sites, in units of the cell vectors:
Na: 0.1094 0.1403 0.7500  4 O 2.42-2.47
Na: 0.8598 0.8906 0.2500  4 O 2.43-2.47
Na: 0.6094 0.6403 0.7500  4 O 2.42-2.47
Na: 0.3597 0.3907 0.2500  4 O 2.42-2.47
Na: 0.8092 0.8147 0.8760  4 O 2.26-2.35
Na: 0.5593 0.5647 0.3761  4 O 2.26-2.35
Na: 0.3092 0.3147 0.8760  4 O 2.26-2.35
Na: 0.0594 0.0648 0.3761  4 O 2.26-2.35
Na: 0.9354 0.9407 0.6239  4 O 2.26-2.35
Na: 0.6852 0.6907 0.1239  4 O 2.26-2.35
Na: 0.4354 0.4408 0.6239  4 O 2.26-2.35
Na: 0.1853 0.1907 0.1240  4 O 2.26-2.35
Na: 0.8069 0.3038 0.8894  4 O 2.43-2.57
Na: 0.5569 0.0536 0.3893  4 O 2.43-2.57
Na: 0.3070 0.8038 0.8894  4 O 2.43-2.57
Na: 0.0569 0.5536 0.3894  4 O 2.43-2.57
Na: 0.9464 0.4432 0.6106  4 O 2.43-2.57
Na: 0.6961 0.1929 0.1106  4 O 2.43-2.57
Na: 0.4465 0.9432 0.6106  4 O 2.43-2.57
Na: 0.1962 0.6930 0.1106  4 O 2.43-2.57
Ni: 0.5024 0.4970 0.0001  2 O 1.80
Ni: 0.2528 0.2476 0.5002  2 O 1.80
Ni: 0.7524 0.7474 0.4999  2 O 1.80
Ni: 0.0025 0.9974 0.9999  2 O 1.80
C: 0.5897 0.1605 0.7500  3 O 1.30
C: 0.3395 0.9103 0.2500  3 O 1.30
C: 0.0897 0.6605 0.7500  3 O 1.30
C: 0.8395 0.4104 0.2500  3 O 1.30
O: 0.4559 0.2935 0.7500  1 C 1.30
O: 0.2066 0.0442 0.2500  1 C 1.30
O: 0.9559 0.7935 0.7500  1 C 1.30
O: 0.7064 0.5440 0.2500  1 C 1.30
O: 0.5557 0.5497 0.8945  1 Ni 1.80
O: 0.3059 0.2997 0.3946  1 Ni 1.80
O: 0.0557 0.0498 0.8944  1 Ni 1.80
O: 0.8059 0.7999 0.3944  1 Ni 1.80
O: 0.7003 0.6943 0.6055  1 Ni 1.80
O: 0.4501 0.4441 0.1056  1 Ni 1.80
O: 0.2003 0.1941 0.6057  1 Ni 1.80
O: 0.9502 0.9443 0.1055  1 Ni 1.80
O: 0.6214 0.0624 0.8169  1 C 1.30
O: 0.3709 0.8118 0.3169  1 C 1.30
O: 0.1214 0.5624 0.8169  1 C 1.30
O: 0.8711 0.3120 0.3169  1 C 1.30
O: 0.6883 0.1292 0.6831  1 C 1.30
O: 0.4375 0.8784 0.1831  1 C 1.30
O: 0.1883 0.6292 0.6831  1 C 1.30
O: 0.9376 0.3786 0.1831  1 C 1.30



Respective calculated total energy values: -33.14; -239.39 eV per cell.